# 1
Compound: Sr4BrN2Cl
Source: Materials Project
Functional: PBE
Structure: optimized geometry

The space group is P2/m (No. 10) and the conventional cell measures 6.820, 3.938 and 7.611 Å, with angles of 90.00, 107.39 and 90.00 degrees. The inequivalent atoms are Sr at (0.226, 0.000, 0.184), Sr at (0.269, 0.500, 0.814), Br at (0.500, 0.500, 0.500), N at (0.000, 0.500, 0.000), N at (0.500, 0.000, 0.000) and Cl at (0.000, 0.000, 0.500).

The total DFT energy (no corrections) comes out at -4.717 eV per atom. The value obtained for the relative energy among the computed polymorphs is 0.0034 eV per atom. The formation energy is -1.429 eV/atom.


# 2
Compound: Na5Br4Cl
Source: Materials Project
Functional: PBE
Structure: optimized geometry

The space group is I4/mmm (No. 139) and the conventional cell measures 4.222, 4.222 and 29.841 Å, with angles of 90.00, 90.00 and 90.00 degrees. The inequivalent atoms are Na at (0.000, 0.000, 0.000), Na at (0.000, 0.000, 0.200), Na at (0.000, 0.000, 0.401), Br at (0.000, 0.000, 0.100), Br at (0.000, 0.000, 0.300) and Cl at (0.000, 0.000, 0.500).

The total DFT energy (no corrections) comes out at -3.117 eV per atom. The formation energy is -1.677 eV/atom.


# 3
Compound: NdBr2Cl
Source: Materials Project
Functional: PBE
Structure: optimized geometry

The space group is Pm (No. 6) and the conventional cell measures 7.836, 4.305 and 7.999 Å, with angles of 90.00, 119.00 and 90.00 degrees. The inequivalent atoms are Nd at (0.000, 0.000, 0.000), Nd at (0.337, 0.500, 0.671), Br at (0.291, 0.500, 0.037), Br at (0.368, 0.000, 0.418), Br at (0.764, 0.500, 0.716), Br at (0.956, 0.500, 0.245), Cl at (0.083, 0.000, 0.652) and Cl at (0.578, 0.000, 0.920).

The total DFT energy (no corrections) comes out at -4.493 eV per atom. The formation energy is -2.174 eV/atom.


# 4
Compound: Sr10P6BrClO24
Source: Materials Project
Functional: PBE
Structure: optimized geometry

The space group is P-3 (No. 147) and the conventional cell measures 10.0503, 10.0503 and 7.2866 Å, with angles of 90.00, 90.00 and 120.00 degrees. The inequivalent atoms are Sr at (0.0072, 0.2609, 0.2481), Sr at (0.3333, 0.6667, 0.0003), Sr at (0.3333, 0.6667, 0.4997), P at (0.0320, 0.4078, 0.7498), Br at (0.0000, 0.0000, 0.5000), Cl at (0.0000, 0.0000, 0.0000), O at (0.0832, 0.3543, 0.9229), O at (0.0834, 0.3548, 0.5766), O at (0.1221, 0.5878, 0.7502) and O at (0.1447, 0.6560, 0.2499).

The total DFT energy (no corrections) comes out at -6.978 eV per atom. The formation energy is -3.284 eV/atom.